1.
First-principles (meta-GGA r2SCAN) data for a geometry-optimized Ba2ScReO6 structure, as listed in the Materials Project database.

Output
Total magnetization ... 0.200 μB per atom
V ... 138 Å³/f.u.
ΔE_f ... -28.93 eV/f.u.

a b c (Å): 8.2056 8.2056 8.2056
angles (deg): 90.00 90.00 90.00
Closest atoms and distances in Å follow each position.
Space group Fm-3m (No. 225)
Unique sites:
Ba: 0.2500 0.2500 0.2500 x8  12 O 2.90
Sc: 0.0000 0.0000 0.0000 x4  6 O 2.12
Re: 0.0000 0.0000 0.5000 x4  6 O 1.98
O: 0.0000 0.0000 0.2581 x24  1 Re 1.98, 1 Sc 2.12


2.
First-principles (meta-GGA r2SCAN) data for a geometry-optimized TiCo3 structure, as listed in the Materials Project database.

Output
Total magnetization ... 0.691 μB per atom
V ... 46 Å³/f.u.
ΔE_f ... -0.65 eV/f.u.

a b c (Å): 3.5868 3.5868 3.5868
angles (deg): 90.00 90.00 90.00
Closest atoms and distances in Å follow each position.
Space group Pm-3m (No. 221)
Unique sites:
Ti: 0.0000 0.0000 0.0000 x1  12 Co 2.54
Co: 0.0000 0.5000 0.5000 x3  8 Co 2.54, 4 Ti 2.54


3.
First-principles (meta-GGA r2SCAN) data for a geometry-optimized LuSiIr structure, as listed in the Materials Project database.

Output
Total magnetization ... 0.000 μB per atom
V ... 51 Å³/f.u.
ΔE_f ... -3.69 eV/f.u.

a b c (Å): 6.6696 4.1488 7.3745
angles (deg): 90.00 90.00 90.00
Closest atoms and distances in Å follow each position.
Space group Pnma (No. 62)
Unique sites:
Lu: 0.0053 0.2500 0.1881 x4  5 Si 2.86-2.95, 6 Ir 2.95-3.19
Si: 0.2050 0.7500 0.3858 x4  4 Ir 2.45-2.54
Ir: 0.1587 0.2500 0.5639 x4  4 Si 2.45-2.54